*a*
LiCuPO4 | PBE | optimized geometry

Unit cell a=8.690 b=5.087 c=8.306 alpha=90.00 beta=109.91 gamma=90.00
Fractional coordinates of all 28 atoms:
1 Li 0.000 0.161 0.000
2 Li 0.000 0.839 0.500
3 Li 0.525 0.324 0.674
4 Li 0.525 0.676 0.174
5 Cu 0.273 0.328 0.903
6 Cu 0.273 0.672 0.403
7 Cu 0.749 0.187 0.236
8 Cu 0.749 0.813 0.736
9 P 0.389 0.166 0.277
10 P 0.389 0.834 0.777
11 P 0.883 0.327 0.628
12 P 0.883 0.673 0.128
13 O 0.038 0.272 0.785
14 O 0.038 0.728 0.285
15 O 0.235 0.188 0.114
16 O 0.235 0.812 0.614
17 O 0.362 0.313 0.429
18 O 0.362 0.687 0.929
19 O 0.431 0.127 0.827
20 O 0.431 0.873 0.327
21 O 0.533 0.293 0.232
22 O 0.533 0.707 0.732
23 O 0.735 0.204 0.667
24 O 0.735 0.796 0.167
25 O 0.856 0.373 0.094
26 O 0.856 0.627 0.594
27 O 0.906 0.195 0.469
28 O 0.906 0.805 0.969

Properties
total moment = 4.00 μB per cell
symmetry = No. 7

***

*b*
LiCuPO4 | PBE | optimized geometry

Unit cell a=5.951 b=6.314 c=9.432 alpha=73.24 beta=83.38 gamma=80.39
Fractional coordinates of all 28 atoms:
1 Li 0.069 0.320 0.208
2 Li 0.069 0.844 0.174
3 Li 0.931 0.156 0.826
4 Li 0.931 0.680 0.792
5 Cu 0.301 0.156 0.554
6 Cu 0.479 0.393 0.780
7 Cu 0.521 0.607 0.220
8 Cu 0.699 0.844 0.446
9 P 0.214 0.687 0.504
10 P 0.372 0.793 0.884
11 P 0.628 0.207 0.116
12 P 0.786 0.313 0.496
13 O 0.030 0.247 0.436
14 O 0.229 0.685 0.341
15 O 0.234 0.020 0.804
16 O 0.249 0.603 0.859
17 O 0.303 0.445 0.602
18 O 0.336 0.776 0.054
19 O 0.369 0.850 0.525
20 O 0.378 0.234 0.170
21 O 0.622 0.766 0.830
22 O 0.631 0.150 0.475
23 O 0.664 0.224 0.946
24 O 0.697 0.555 0.398
25 O 0.751 0.397 0.141
26 O 0.766 0.980 0.196
27 O 0.771 0.315 0.659
28 O 0.970 0.753 0.564

Properties
total moment = 3.96 μB per cell
symmetry = No. 2

***

The winner here is *a*, beating the second structure by 0.018 eV/atom.

***

*a*
LiCu2C2O7 | PBE | optimized geometry

Unit cell a=4.812 b=4.831 c=15.253 alpha=89.67 beta=89.64 gamma=60.26
Fractional coordinates of all 24 atoms:
1 Li 0.000 0.000 0.000
2 Li 0.002 0.992 0.500
3 Cu 0.331 0.330 0.865
4 Cu 0.332 0.333 0.635
5 Cu 0.664 0.664 0.366
6 Cu 0.671 0.656 0.136
7 C 0.333 0.328 0.411
8 C 0.334 0.326 0.089
9 C 0.664 0.666 0.589
10 C 0.665 0.665 0.911
11 O 0.074 0.309 0.086
12 O 0.078 0.605 0.413
13 O 0.309 0.072 0.412
14 O 0.316 0.602 0.091
15 O 0.348 0.305 0.750
16 O 0.386 0.685 0.586
17 O 0.388 0.922 0.913
18 O 0.610 0.068 0.088
19 O 0.613 0.305 0.410
20 O 0.677 0.675 0.251
21 O 0.684 0.389 0.913
22 O 0.685 0.923 0.587
23 O 0.920 0.389 0.591
24 O 0.923 0.687 0.908

Properties
total moment = 6.00 μB per cell
symmetry = No. 1

***

*b*
LiCu2C2O7 | PBE | optimized geometry

Unit cell a=4.814 b=4.834 c=15.243 alpha=89.66 beta=89.62 gamma=60.27
Fractional coordinates of all 24 atoms:
1 Li 0.000 0.000 0.000
2 Li 0.000 0.000 0.500
3 Cu 0.331 0.334 0.365
4 Cu 0.332 0.338 0.135
5 Cu 0.668 0.662 0.865
6 Cu 0.669 0.666 0.635
7 C 0.335 0.331 0.589
8 C 0.336 0.330 0.911
9 C 0.664 0.670 0.089
10 C 0.665 0.669 0.411
11 O 0.074 0.313 0.586
12 O 0.078 0.609 0.913
13 O 0.315 0.073 0.913
14 O 0.316 0.606 0.591
15 O 0.348 0.309 0.250
16 O 0.386 0.689 0.086
17 O 0.388 0.926 0.413
18 O 0.612 0.074 0.587
19 O 0.614 0.311 0.914
20 O 0.677 0.679 0.751
21 O 0.684 0.394 0.409
22 O 0.685 0.927 0.087
23 O 0.922 0.391 0.087
24 O 0.926 0.687 0.414

Properties
total moment = 0.03 μB per cell
symmetry = No. 1

***

The winner here is *a*, beating the second structure by 0.039 eV/atom.

***

*a*
MgAl2O4 | PBE | optimized geometry

Unit cell a=5.778 b=5.778 c=5.778 alpha=60.00 beta=60.00 gamma=60.00
Fractional coordinates of all 14 atoms:
1 Mg 0.125 0.125 0.125
2 Mg 0.875 0.875 0.875
3 Al 0.000 0.500 0.500
4 Al 0.500 0.000 0.500
5 Al 0.500 0.500 0.000
6 Al 0.500 0.500 0.500
7 O 0.264 0.264 0.264
8 O 0.264 0.264 0.709
9 O 0.264 0.709 0.264
10 O 0.291 0.736 0.736
11 O 0.709 0.264 0.264
12 O 0.736 0.291 0.736
13 O 0.736 0.736 0.291
14 O 0.736 0.736 0.736

Properties
symmetry = No. 227

***

*b*
MgAl2O4 | PBE | optimized geometry

Unit cell a=5.776 b=5.776 c=33.222 alpha=95.03 beta=95.03 gamma=59.93
Fractional coordinates of all 98 atoms:
1 Mg 0.000 0.000 0.000
2 Mg 0.084 0.084 0.268
3 Mg 0.138 0.138 0.430
4 Mg 0.174 0.174 0.537
5 Mg 0.281 0.281 0.859
6 Mg 0.316 0.316 0.967
7 Mg 0.460 0.460 0.394
8 Mg 0.516 0.516 0.055
9 Mg 0.567 0.567 0.716
10 Mg 0.603 0.603 0.823
11 Mg 0.711 0.711 0.145
12 Mg 0.745 0.745 0.249
13 Mg 0.853 0.853 0.573
14 Mg 0.889 0.889 0.680
15 Al 0.005 0.518 0.054
16 Al 0.026 0.026 0.108
17 Al 0.085 0.085 0.769
18 Al 0.085 0.585 0.769
19 Al 0.157 0.656 0.484
20 Al 0.226 0.226 0.197
21 Al 0.226 0.729 0.197
22 Al 0.228 0.228 0.698
23 Al 0.300 0.799 0.912
24 Al 0.369 0.369 0.128
25 Al 0.371 0.371 0.627
26 Al 0.371 0.871 0.627
27 Al 0.425 0.425 0.288
28 Al 0.447 0.940 0.341
29 Al 0.514 0.514 0.555
30 Al 0.518 0.005 0.054
31 Al 0.585 0.085 0.769
32 Al 0.656 0.157 0.484
33 Al 0.656 0.656 0.484
34 Al 0.657 0.657 0.983
35 Al 0.729 0.226 0.197
36 Al 0.799 0.300 0.912
37 Al 0.799 0.799 0.413
38 Al 0.799 0.799 0.912
39 Al 0.871 0.371 0.627
40 Al 0.940 0.447 0.341
41 Al 0.940 0.940 0.341
42 Al 0.942 0.942 0.841
43 O 0.049 0.049 0.163
44 O 0.066 0.066 0.660
45 O 0.066 0.513 0.660
46 O 0.082 0.639 0.375
47 O 0.091 0.528 0.166
48 O 0.103 0.103 0.878
49 O 0.103 0.658 0.878
50 O 0.118 0.118 0.369
51 O 0.190 0.672 0.093
52 O 0.194 0.194 0.596
53 O 0.197 0.197 0.092
54 O 0.227 0.781 0.802
55 O 0.229 0.674 0.592
56 O 0.261 0.261 0.308
57 O 0.261 0.261 0.799
58 O 0.261 0.772 0.308
59 O 0.328 0.328 0.028
60 O 0.352 0.352 0.517
61 O 0.352 0.798 0.517
62 O 0.373 0.832 0.019
63 O 0.376 0.918 0.227
64 O 0.388 0.388 0.735
65 O 0.389 0.943 0.735
66 O 0.406 0.406 0.233
67 O 0.480 0.480 0.453
68 O 0.495 0.495 0.946
69 O 0.496 0.943 0.945
70 O 0.513 0.066 0.660
71 O 0.514 0.961 0.449
72 O 0.528 0.091 0.166
73 O 0.529 0.529 0.165
74 O 0.547 0.547 0.656
75 O 0.622 0.622 0.882
76 O 0.639 0.082 0.375
77 O 0.639 0.639 0.375
78 O 0.658 0.103 0.878
79 O 0.672 0.190 0.093
80 O 0.674 0.229 0.592
81 O 0.674 0.674 0.592
82 O 0.700 0.700 0.086
83 O 0.765 0.765 0.310
84 O 0.772 0.261 0.308
85 O 0.781 0.227 0.802
86 O 0.781 0.781 0.803
87 O 0.798 0.352 0.517
88 O 0.824 0.824 0.022
89 O 0.832 0.373 0.019
90 O 0.833 0.833 0.513
91 O 0.908 0.908 0.739
92 O 0.918 0.376 0.227
93 O 0.918 0.918 0.227
94 O 0.943 0.389 0.735
95 O 0.943 0.496 0.945
96 O 0.960 0.960 0.449
97 O 0.961 0.514 0.449
98 O 0.976 0.976 0.941

Properties
symmetry = No. 8

***

The winner here is *a*, beating the second structure by 0.010 eV/atom.